Record 1
The following is a DFT calculation (PBE with a Hubbard U) of a geometry-optimized Na5Fe3F14 structure.

a = 7.7401 Å, b = 7.7401 Å, c = 10.2401 Å
α = 90.00°, β = 90.00°, γ = 90.00°
With the nearest neighbours (Å) after each atom.
Atoms (fractional coordinates):
Na (0.0000, 0.0000, 0.0000)  8 F 2.77
Na (0.2335, 0.2335, 0.2598)  5 F 2.35-2.61
Na (0.2335, 0.2335, 0.7402)  5 F 2.35-2.61
Na (0.2665, 0.7335, 0.2402)  5 F 2.35-2.61
Na (0.2665, 0.7335, 0.7598)  5 F 2.35-2.61
Na (0.5000, 0.5000, 0.5000)  8 F 2.77
Na (0.7335, 0.2665, 0.2402)  5 F 2.35-2.61
Na (0.7335, 0.2665, 0.7598)  5 F 2.35-2.61
Na (0.7665, 0.7665, 0.2598)  5 F 2.35-2.61
Na (0.7665, 0.7665, 0.7402)  5 F 2.35-2.61
Fe (0.0000, 0.0000, 0.5000)  6 F 1.92-1.93
Fe (0.0000, 0.5000, 0.0000)  6 F 1.94-1.95
Fe (0.0000, 0.5000, 0.5000)  6 F 1.94-1.95
Fe (0.5000, 0.0000, 0.0000)  6 F 1.94-1.95
Fe (0.5000, 0.0000, 0.5000)  6 F 1.94-1.95
Fe (0.5000, 0.5000, 0.0000)  6 F 1.92-1.93
F (0.0000, 0.0000, 0.3124)  1 Fe 1.92
F (0.0000, 0.0000, 0.6876)  1 Fe 1.92
F (0.0026, 0.2492, 0.5000)  2 Fe 1.93-1.94
F (0.0028, 0.6854, 0.1295)  1 Fe 1.95
F (0.0028, 0.6854, 0.8705)  1 Fe 1.95
F (0.1854, 0.4972, 0.3705)  1 Fe 1.95
F (0.1854, 0.4972, 0.6295)  1 Fe 1.95
F (0.2492, 0.0026, 0.5000)  2 Fe 1.93-1.94
F (0.2508, 0.5026, 0.0000)  2 Fe 1.93-1.94
F (0.3146, 0.9972, 0.1295)  1 Fe 1.95
F (0.3146, 0.9972, 0.8705)  1 Fe 1.95
F (0.4972, 0.1854, 0.3705)  1 Fe 1.95
F (0.4972, 0.1854, 0.6295)  1 Fe 1.95
F (0.4974, 0.7492, 0.0000)  2 Fe 1.93-1.94
F (0.5000, 0.5000, 0.1876)  1 Fe 1.92
F (0.5000, 0.5000, 0.8124)  1 Fe 1.92
F (0.5026, 0.2508, 0.0000)  2 Fe 1.93-1.94
F (0.5028, 0.8146, 0.3705)  1 Fe 1.95
F (0.5028, 0.8146, 0.6295)  1 Fe 1.95
F (0.6854, 0.0028, 0.1295)  1 Fe 1.95
F (0.6854, 0.0028, 0.8705)  1 Fe 1.95
F (0.7492, 0.4974, 0.0000)  2 Fe 1.93-1.94
F (0.7508, 0.9974, 0.5000)  2 Fe 1.93-1.94
F (0.8146, 0.5028, 0.3705)  1 Fe 1.95
F (0.8146, 0.5028, 0.6295)  1 Fe 1.95
F (0.9972, 0.3146, 0.1295)  1 Fe 1.95
F (0.9972, 0.3146, 0.8705)  1 Fe 1.95
F (0.9974, 0.7508, 0.5000)  2 Fe 1.93-1.94

Values from the calculation:
Space group   No. 136
E above lowest polymorph   27 meV per atom



Record 2
The following is a DFT calculation (PBE with a Hubbard U) of a geometry-optimized NaFeF3 structure.

a = 5.7987 Å, b = 7.9203 Å, c = 5.5440 Å
α = 90.00°, β = 90.00°, γ = 90.00°
With the nearest neighbours (Å) after each atom.
Atoms (fractional coordinates):
Na (0.0624, 0.2500, 0.0213)  4 F 2.30-2.41
Na (0.4376, 0.7500, 0.5213)  4 F 2.30-2.41
Na (0.5624, 0.2500, 0.4787)  4 F 2.30-2.41
Na (0.9376, 0.7500, 0.9787)  4 F 2.30-2.41
Fe (0.0000, 0.0000, 0.5000)  6 F 2.07-2.14
Fe (0.0000, 0.5000, 0.5000)  6 F 2.07-2.14
Fe (0.5000, 0.0000, 0.0000)  6 F 2.07-2.14
Fe (0.5000, 0.5000, 0.0000)  6 F 2.07-2.14
F (0.0443, 0.7500, 0.3790)  2 Fe 2.11, 1 Na 2.30
F (0.1939, 0.5575, 0.8015)  2 Fe 2.07-2.14
F (0.1939, 0.9425, 0.8015)  2 Fe 2.07-2.14
F (0.3061, 0.0575, 0.3015)  2 Fe 2.07-2.14
F (0.3061, 0.4425, 0.3015)  2 Fe 2.07-2.14
F (0.4557, 0.2500, 0.8790)  2 Fe 2.11, 1 Na 2.30
F (0.5443, 0.7500, 0.1210)  2 Fe 2.11, 1 Na 2.30
F (0.6939, 0.5575, 0.6985)  2 Fe 2.07-2.14
F (0.6939, 0.9425, 0.6985)  2 Fe 2.07-2.14
F (0.8061, 0.0575, 0.1985)  2 Fe 2.07-2.14
F (0.8061, 0.4425, 0.1985)  2 Fe 2.07-2.14
F (0.9557, 0.2500, 0.6210)  2 Fe 2.11, 1 Na 2.30

Values from the calculation:
Space group   No. 62
E   -102.39 eV for the cell shown